The following is a PBE calculation of an optimized crystal structure of Cu3N, from the Materials Project.

Cell and atoms, written as POSCAR:
```
Cu3N
1.0
3.489 0.000 0.000
0.000 3.489 0.000
0.000 0.000 3.489
Cu N
3 1
Direct
0.000 0.000 0.500 Cu
0.000 0.500 0.000 Cu
0.500 0.000 0.000 Cu
0.500 0.500 0.500 N
```

## Properties
Electronic total energy: -4.266 eV per atom
Calculated formation energy: 802 meV/atom
M_tot: 0.0 μB/f.u.
Corrected total energy (MP2020 scheme): -17.43 eV for the cell shown